1.
Here is a geometry-optimized Li2Mn3B3O9 structure from Materials Project. Energies are from PBE with a Hubbard U.

Values from the calculation:
Calculated volume   374.2 Å³ per cell
ΔE_f   -2.4523 eV per atom
Space-group type   No. 1
MP2020-corrected energy   -8.09 eV per atom
Total magnetization   14.00 μB per formula unit
Calculated total energy   -7.434 eV/atom

Unit cell a=6.142 b=7.888 c=9.047 alpha=114.06 beta=102.70 gamma=99.47
Positions (direct):
Li1 0.000 0.000 0.000
Li2 0.013 0.639 0.880
Li3 0.343 0.324 0.657
Li4 0.669 0.646 0.316
Mn1 0.074 0.633 0.529
Mn2 0.283 0.348 0.006
Mn3 0.410 0.977 0.219
Mn4 0.622 0.689 0.667
Mn5 0.720 0.278 0.871
Mn6 0.951 0.015 0.340
B1 0.040 0.628 0.197
B2 0.282 0.360 0.336
B3 0.365 0.953 0.872
B4 0.631 0.685 0.003
B5 0.742 0.297 0.546
B6 0.967 0.017 0.666
O1 0.036 0.515 0.030
O2 0.070 0.115 0.594
O3 0.138 0.830 0.272
O4 0.164 0.163 0.250
O5 0.254 0.874 0.955
O6 0.293 0.463 0.509
O7 0.360 0.837 0.707
O8 0.397 0.454 0.268
O9 0.478 0.148 0.946
O10 0.496 0.494 0.915
O11 0.607 0.223 0.619
O12 0.653 0.792 0.178
O13 0.741 0.176 0.379
O14 0.753 0.770 0.929
O15 0.857 0.815 0.572
O16 0.860 0.494 0.624
O17 0.936 0.544 0.279
O18 0.971 0.111 0.836


2.
Here is a geometry-optimized Li5Mn6B6O18 structure from Materials Project. Energies are from PBE with a Hubbard U.

Values from the calculation:
Calculated volume   380.4 Å³ per cell
ΔE_f   -2.4824 eV per atom
Space-group type   No. 1
MP2020-corrected energy   -8.02 eV per atom
Total magnetization   29.00 μB per formula unit
Calculated total energy   -7.376 eV/atom

Unit cell a=6.227 b=7.869 c=9.075 alpha=109.22 beta=106.86 gamma=101.30
Positions (direct):
Li1 0.000 0.000 0.000
Li2 0.015 0.681 0.566
Li3 0.316 0.347 0.665
Li4 0.655 0.678 0.325
Li5 0.681 0.347 0.900
Mn1 0.063 0.656 0.224
Mn2 0.274 0.380 0.998
Mn3 0.397 0.974 0.907
Mn4 0.608 0.711 0.664
Mn5 0.702 0.295 0.546
Mn6 0.964 0.062 0.338
B1 0.034 0.638 0.886
B2 0.280 0.378 0.328
B3 0.358 0.990 0.572
B4 0.627 0.711 0.999
B5 0.733 0.320 0.230
B6 0.954 0.035 0.662
O1 0.078 0.097 0.834
O2 0.117 0.200 0.225
O3 0.182 0.821 0.984
O4 0.205 0.937 0.404
O5 0.330 0.509 0.259
O6 0.337 0.857 0.641
O7 0.403 0.427 0.499
O8 0.478 0.526 0.901
O9 0.518 0.171 0.665
O10 0.591 0.259 0.061
O11 0.667 0.836 0.923
O12 0.723 0.189 0.306
O13 0.752 0.776 0.172
O14 0.804 0.852 0.563
O15 0.867 0.508 0.328
O16 0.909 0.575 0.713
O17 0.991 0.162 0.586
O18 0.997 0.513 0.964


3.
Here is a geometry-optimized Li2Mn3B3O9 structure from Materials Project. Energies are from PBE with a Hubbard U.

Values from the calculation:
Calculated volume   375.7 Å³ per cell
ΔE_f   -2.4509 eV per atom
Space-group type   No. 1
MP2020-corrected energy   -8.09 eV per atom
Total magnetization   14.00 μB per formula unit
Calculated total energy   -7.432 eV/atom

Unit cell a=5.228 b=6.148 c=11.990 alpha=84.18 beta=78.75 gamma=86.59
Positions (direct):
Li1 0.000 0.000 0.000
Li2 0.079 0.820 0.201
Li3 0.409 0.174 0.526
Li4 0.730 0.509 0.859
Mn1 0.105 0.831 0.767
Mn2 0.307 0.321 0.763
Mn3 0.434 0.177 0.111
Mn4 0.635 0.658 0.102
Mn5 0.780 0.496 0.437
Mn6 0.984 0.985 0.427
B1 0.195 0.557 0.986
B2 0.217 0.595 0.547
B3 0.521 0.886 0.326
B4 0.553 0.946 0.884
B5 0.858 0.215 0.656
B6 0.877 0.245 0.217
O1 0.036 0.129 0.136
O2 0.046 0.682 0.066
O3 0.105 0.517 0.888
O4 0.116 0.147 0.667
O5 0.251 0.590 0.661
O6 0.300 0.035 0.865
O7 0.369 0.986 0.415
O8 0.380 0.482 0.470
O9 0.434 0.858 0.227
O10 0.445 0.481 0.998
O11 0.626 0.975 0.987
O12 0.651 0.350 0.196
O13 0.699 0.314 0.743
O14 0.700 0.823 0.806
O15 0.780 0.816 0.335
O16 0.781 0.186 0.554
O17 0.940 0.253 0.326
O18 0.988 0.705 0.522


4.
Here is a geometry-optimized Li2Mn3B3O9 structure from Materials Project. Energies are from PBE with a Hubbard U.

Values from the calculation:
Calculated volume   374.3 Å³ per cell
ΔE_f   -2.4446 eV per atom
Space-group type   No. 2
MP2020-corrected energy   -8.08 eV per atom
Total magnetization   14.00 μB per formula unit
Calculated total energy   -7.426 eV/atom

Unit cell a=5.299 b=5.842 c=13.322 alpha=96.97 beta=91.04 gamma=113.56
Positions (direct):
Li1 0.096 0.333 0.021
Li2 0.248 0.307 0.643
Li3 0.752 0.693 0.357
Li4 0.904 0.667 0.979
Mn1 0.066 0.963 0.207
Mn2 0.272 0.720 0.466
Mn3 0.385 0.617 0.863
Mn4 0.615 0.383 0.137
Mn5 0.728 0.280 0.534
Mn6 0.934 0.037 0.793
B1 0.156 0.168 0.427
B2 0.175 0.503 0.248
B3 0.485 0.827 0.087
B4 0.515 0.173 0.913
B5 0.825 0.497 0.752
B6 0.844 0.832 0.573
O1 0.038 0.943 0.651
O2 0.042 0.417 0.759
O3 0.140 0.354 0.503
O4 0.195 0.333 0.167
O5 0.283 0.229 0.903
O6 0.283 0.702 0.009
O7 0.364 0.087 0.446
O8 0.366 0.589 0.328
O9 0.449 0.004 0.158
O10 0.551 0.996 0.842
O11 0.634 0.411 0.672
O12 0.636 0.913 0.554
O13 0.717 0.298 0.991
O14 0.717 0.771 0.097
O15 0.805 0.667 0.833
O16 0.860 0.646 0.497
O17 0.958 0.583 0.241
O18 0.962 0.057 0.349


5.
Here is a geometry-optimized LiMn2B2O6 structure from Materials Project. Energies are from PBE with a Hubbard U.

Values from the calculation:
Calculated volume   627.1 Å³ per cell
ΔE_f   -2.4320 eV per atom
Space-group type   No. 1
MP2020-corrected energy   -8.18 eV per atom
Total magnetization   9.00 μB per formula unit
Calculated total energy   -7.507 eV/atom

Unit cell a=5.817 b=9.232 c=12.436 alpha=75.79 beta=87.93 gamma=75.70
Positions (direct):
Li1 0.000 0.000 0.000
Li2 0.051 0.675 0.416
Li3 0.261 0.080 0.612
Li4 0.778 0.601 0.797
Li5 0.845 0.276 0.213
Mn1 0.065 0.334 0.006
Mn2 0.185 0.757 0.623
Mn3 0.266 0.691 0.204
Mn4 0.380 0.191 0.821
Mn5 0.463 0.092 0.398
Mn6 0.568 0.595 0.007
Mn7 0.651 0.491 0.601
Mn8 0.780 0.953 0.212
Mn9 0.838 0.930 0.789
Mn10 0.984 0.355 0.419
B1 0.047 0.672 0.987
B2 0.177 0.418 0.617
B3 0.248 0.039 0.195
B4 0.375 0.844 0.809
B5 0.451 0.435 0.404
B6 0.597 0.239 0.023
B7 0.652 0.837 0.605
B8 0.789 0.611 0.224
B9 0.860 0.262 0.806
B10 0.983 0.014 0.421
O1 0.003 0.479 0.532
O2 0.044 0.858 0.466
O3 0.057 0.191 0.882
O4 0.092 0.113 0.458
O5 0.127 0.934 0.170
O6 0.160 0.193 0.159
O7 0.195 0.897 0.725
O8 0.243 0.597 0.059
O9 0.244 0.262 0.666
O10 0.287 0.521 0.645
O11 0.325 0.330 0.389
O12 0.367 0.589 0.364
O13 0.412 0.290 0.944
O14 0.452 0.978 0.264
O15 0.458 0.687 0.853
O16 0.478 0.951 0.833
O17 0.526 0.731 0.592
O18 0.577 0.990 0.562
O19 0.614 0.671 0.140
O20 0.659 0.373 0.470
O21 0.689 0.083 0.063
O22 0.692 0.347 0.055
O23 0.721 0.166 0.788
O24 0.807 0.414 0.760
O25 0.816 0.079 0.332
O26 0.853 0.773 0.679
O27 0.864 0.455 0.265
O28 0.892 0.714 0.260
O29 0.911 0.575 0.961
O30 0.988 0.826 0.946


6.
Here is a geometry-optimized Li2Mn3B3O9 structure from Materials Project. Energies are from PBE with a Hubbard U.

Values from the calculation:
Calculated volume   378.6 Å³ per cell
ΔE_f   -2.4562 eV per atom
Space-group type   No. 1
MP2020-corrected energy   -8.10 eV per atom
Total magnetization   14.00 μB per formula unit
Calculated total energy   -7.438 eV/atom

Unit cell a=6.206 b=7.822 c=9.100 alpha=109.23 beta=107.51 gamma=100.17
Positions (direct):
Li1 0.000 0.000 0.000
Li2 0.012 0.670 0.567
Li3 0.333 0.335 0.676
Li4 0.651 0.682 0.334
Mn1 0.036 0.635 0.211
Mn2 0.295 0.387 0.008
Mn3 0.395 0.978 0.900
Mn4 0.607 0.705 0.667
Mn5 0.703 0.285 0.556
Mn6 0.963 0.055 0.340
B1 0.054 0.634 0.885
B2 0.279 0.367 0.330
B3 0.350 0.973 0.564
B4 0.615 0.711 0.001
B5 0.711 0.319 0.237
B6 0.957 0.035 0.668
O1 0.047 0.510 0.970
O2 0.088 0.106 0.841
O3 0.115 0.191 0.229
O4 0.184 0.820 0.977
O5 0.191 0.917 0.395
O6 0.325 0.497 0.257
O7 0.327 0.841 0.636
O8 0.405 0.420 0.501
O9 0.457 0.531 0.903
O10 0.510 0.149 0.653
O11 0.538 0.261 0.076
O12 0.664 0.835 0.925
O13 0.718 0.184 0.308
O14 0.741 0.770 0.173
O15 0.808 0.852 0.574
O16 0.854 0.503 0.328
O17 0.910 0.565 0.714
O18 0.994 0.156 0.586


7.
Here is a geometry-optimized LiMn2B2O6 structure from Materials Project. Energies are from PBE with a Hubbard U.

Values from the calculation:
Calculated volume   618.3 Å³ per cell
ΔE_f   -2.4222 eV per atom
Space-group type   No. 1
MP2020-corrected energy   -8.17 eV per atom
Total magnetization   9.00 μB per formula unit
Calculated total energy   -7.497 eV/atom

Unit cell a=5.288 b=5.779 c=22.103 alpha=89.31 beta=89.32 gamma=66.29
Positions (direct):
Li1 0.000 0.000 0.000
Li2 0.035 0.295 0.624
Li3 0.398 0.201 0.199
Li4 0.594 0.802 0.800
Li5 0.632 0.096 0.424
Mn1 0.089 0.817 0.733
Mn2 0.137 0.084 0.490
Mn3 0.286 0.426 0.335
Mn4 0.343 0.673 0.090
Mn5 0.492 0.016 0.935
Mn6 0.536 0.282 0.690
Mn7 0.687 0.627 0.535
Mn8 0.739 0.873 0.289
Mn9 0.892 0.215 0.134
Mn10 0.943 0.471 0.889
B1 0.038 0.949 0.864
B2 0.188 0.955 0.361
B3 0.238 0.547 0.466
B4 0.391 0.552 0.958
B5 0.438 0.147 0.064
B6 0.590 0.150 0.559
B7 0.642 0.746 0.668
B8 0.790 0.752 0.158
B9 0.840 0.343 0.262
B10 0.986 0.353 0.756
O1 0.011 0.026 0.410
O2 0.018 0.271 0.214
O3 0.041 0.450 0.480
O4 0.092 0.073 0.914
O5 0.144 0.805 0.317
O6 0.189 0.445 0.744
O7 0.210 0.891 0.815
O8 0.211 0.084 0.068
O9 0.217 0.637 0.005
O10 0.265 0.720 0.507
O11 0.366 0.376 0.917
O12 0.405 0.036 0.354
O13 0.416 0.462 0.418
O14 0.417 0.206 0.608
O15 0.434 0.664 0.679
O16 0.494 0.270 0.113
O17 0.539 0.025 0.509
O18 0.588 0.650 0.943
O19 0.612 0.836 0.205
O20 0.617 0.080 0.016
O21 0.621 0.268 0.269
O22 0.678 0.898 0.714
O23 0.765 0.577 0.117
O24 0.810 0.434 0.803
O25 0.814 0.881 0.869
O26 0.816 0.217 0.555
O27 0.818 0.663 0.620
O28 0.891 0.487 0.307
O29 0.960 0.191 0.710
O30 0.987 0.849 0.144


8.
Here is a geometry-optimized Li2Mn3B3O9 structure from Materials Project. Energies are from PBE with a Hubbard U.

Values from the calculation:
Calculated volume   373.9 Å³ per cell
ΔE_f   -2.4278 eV per atom
Space-group type   No. 1
MP2020-corrected energy   -8.07 eV per atom
Total magnetization   14.00 μB per formula unit
Calculated total energy   -7.409 eV/atom

Unit cell a=6.348 b=8.261 c=8.573 alpha=117.34 beta=107.57 gamma=91.20
Positions (direct):
Li1 0.000 0.000 0.000
Li2 0.139 0.679 0.260
Li3 0.285 0.252 0.574
Li4 0.513 0.008 0.002
Mn1 0.086 0.968 0.646
Mn2 0.231 0.608 0.899
Mn3 0.393 0.355 0.296
Mn4 0.585 0.970 0.614
Mn5 0.733 0.608 0.903
Mn6 0.885 0.353 0.304
B1 0.002 0.319 0.957
B2 0.310 0.647 0.620
B3 0.374 0.976 0.256
B4 0.478 0.300 0.933
B5 0.821 0.664 0.617
B6 0.900 0.969 0.276
O1 0.005 0.070 0.470
O2 0.082 0.398 0.150
O3 0.221 0.459 0.519
O4 0.287 0.758 0.536
O5 0.318 0.064 0.149
O6 0.339 0.783 0.170
O7 0.398 0.108 0.808
O8 0.422 0.729 0.816
O9 0.456 0.416 0.855
O10 0.460 0.080 0.448
O11 0.573 0.355 0.119
O12 0.710 0.484 0.505
O13 0.812 0.783 0.540
O14 0.830 0.064 0.176
O15 0.878 0.780 0.183
O16 0.926 0.129 0.842
O17 0.941 0.732 0.807
O18 0.995 0.436 0.880